Material: K6Zr3H8O12F12
Method: DFT, PBE-GGA
State: relaxed

Cell: 14.726 13.968 11.048 Å, 90.00 90.00 90.00°
Fractional coordinates of all 164 atoms:
1 K 0.108 0.042 0.133
2 K 0.108 0.458 0.133
3 K 0.112 0.120 0.690
4 K 0.112 0.380 0.690
5 K 0.177 0.604 0.431
6 K 0.177 0.896 0.431
7 K 0.323 0.104 0.931
8 K 0.323 0.396 0.931
9 K 0.388 0.620 0.190
10 K 0.388 0.880 0.190
11 K 0.392 0.542 0.633
12 K 0.392 0.958 0.633
13 K 0.608 0.042 0.367
14 K 0.608 0.458 0.367
15 K 0.612 0.120 0.810
16 K 0.612 0.380 0.810
17 K 0.677 0.604 0.069
18 K 0.677 0.896 0.069
19 K 0.823 0.104 0.569
20 K 0.823 0.396 0.569
21 K 0.888 0.620 0.310
22 K 0.888 0.880 0.310
23 K 0.892 0.542 0.867
24 K 0.892 0.958 0.867
25 Zr 0.096 0.750 0.131
26 Zr 0.164 0.610 0.834
27 Zr 0.164 0.890 0.834
28 Zr 0.336 0.110 0.334
29 Zr 0.336 0.390 0.334
30 Zr 0.404 0.250 0.631
31 Zr 0.596 0.750 0.369
32 Zr 0.664 0.610 0.666
33 Zr 0.664 0.890 0.666
34 Zr 0.836 0.110 0.166
35 Zr 0.836 0.390 0.166
36 Zr 0.904 0.250 0.869
37 H 0.001 0.065 0.410
38 H 0.001 0.435 0.410
39 H 0.001 0.750 0.521
40 H 0.084 0.750 0.609
41 H 0.135 0.250 0.948
42 H 0.147 0.194 0.437
43 H 0.147 0.306 0.437
44 H 0.198 0.250 0.173
45 H 0.302 0.750 0.673
46 H 0.353 0.694 0.937
47 H 0.353 0.806 0.937
48 H 0.365 0.750 0.448
49 H 0.416 0.250 0.109
50 H 0.499 0.250 0.021
51 H 0.499 0.565 0.910
52 H 0.499 0.935 0.910
53 H 0.501 0.065 0.090
54 H 0.501 0.435 0.090
55 H 0.501 0.750 0.979
56 H 0.584 0.750 0.891
57 H 0.635 0.250 0.552
58 H 0.647 0.194 0.063
59 H 0.647 0.306 0.063
60 H 0.698 0.250 0.327
61 H 0.802 0.750 0.827
62 H 0.853 0.694 0.563
63 H 0.853 0.806 0.563
64 H 0.865 0.750 0.052
65 H 0.916 0.250 0.391
66 H 0.999 0.250 0.479
67 H 0.999 0.565 0.590
68 H 0.999 0.935 0.590
69 O 0.031 0.040 0.485
70 O 0.031 0.460 0.485
71 O 0.068 0.750 0.522
72 O 0.072 0.639 0.989
73 O 0.072 0.861 0.989
74 O 0.120 0.250 0.480
75 O 0.122 0.750 0.758
76 O 0.143 0.250 0.121
77 O 0.171 0.641 0.026
78 O 0.171 0.859 0.026
79 O 0.189 0.250 0.002
80 O 0.222 0.750 0.784
81 O 0.278 0.250 0.284
82 O 0.311 0.750 0.502
83 O 0.329 0.141 0.526
84 O 0.329 0.359 0.526
85 O 0.357 0.750 0.621
86 O 0.378 0.250 0.258
87 O 0.380 0.750 0.980
88 O 0.428 0.139 0.489
89 O 0.428 0.361 0.489
90 O 0.432 0.250 0.022
91 O 0.469 0.540 0.985
92 O 0.469 0.960 0.985
93 O 0.531 0.040 0.015
94 O 0.531 0.460 0.015
95 O 0.568 0.750 0.978
96 O 0.572 0.639 0.511
97 O 0.572 0.861 0.511
98 O 0.620 0.250 0.020
99 O 0.622 0.750 0.742
100 O 0.643 0.250 0.379
101 O 0.671 0.641 0.474
102 O 0.671 0.859 0.474
103 O 0.689 0.250 0.498
104 O 0.722 0.750 0.716
105 O 0.778 0.250 0.216
106 O 0.811 0.750 0.998
107 O 0.829 0.141 0.974
108 O 0.829 0.359 0.974
109 O 0.857 0.750 0.879
110 O 0.878 0.250 0.242
111 O 0.880 0.750 0.520
112 O 0.928 0.139 0.011
113 O 0.928 0.361 0.011
114 O 0.932 0.250 0.478
115 O 0.969 0.540 0.515
116 O 0.969 0.960 0.515
117 F 0.041 0.571 0.745
118 F 0.041 0.929 0.745
119 F 0.050 0.250 0.860
120 F 0.070 0.637 0.249
121 F 0.070 0.863 0.249
122 F 0.158 0.032 0.891
123 F 0.158 0.468 0.891
124 F 0.195 0.092 0.367
125 F 0.195 0.408 0.367
126 F 0.209 0.558 0.667
127 F 0.209 0.942 0.667
128 F 0.219 0.750 0.228
129 F 0.281 0.250 0.728
130 F 0.291 0.058 0.167
131 F 0.291 0.442 0.167
132 F 0.305 0.592 0.867
133 F 0.305 0.908 0.867
134 F 0.342 0.532 0.391
135 F 0.342 0.968 0.391
136 F 0.430 0.137 0.749
137 F 0.430 0.363 0.749
138 F 0.450 0.750 0.360
139 F 0.459 0.071 0.245
140 F 0.459 0.429 0.245
141 F 0.541 0.571 0.755
142 F 0.541 0.929 0.755
143 F 0.550 0.250 0.640
144 F 0.570 0.637 0.251
145 F 0.570 0.863 0.251
146 F 0.658 0.032 0.609
147 F 0.658 0.468 0.609
148 F 0.695 0.092 0.133
149 F 0.695 0.408 0.133
150 F 0.709 0.558 0.833
151 F 0.709 0.942 0.833
152 F 0.719 0.750 0.272
153 F 0.781 0.250 0.772
154 F 0.791 0.058 0.333
155 F 0.791 0.442 0.333
156 F 0.805 0.592 0.633
157 F 0.805 0.908 0.633
158 F 0.842 0.532 0.109
159 F 0.842 0.968 0.109
160 F 0.930 0.137 0.751
161 F 0.930 0.363 0.751
162 F 0.950 0.750 0.140
163 F 0.959 0.071 0.255
164 F 0.959 0.429 0.255

Properties
Total moment in μB/cell: 0.00
Space-group type: No. 62
Formation enthalpy at 0 K in eV per atom: -2.44
Total energy in eV/atom: -5.564